No. 1
Computed, not measured: crystalline In4CuAg3Te8 at its relaxed geometry at the GGA-PBE level of DFT.

Computed properties:
* total DFT energy (no corrections): -3.325 eV per atom
* crystal system: tetragonal

abc: 6.524 6.524 12.834
angles: 90.00 90.00 90.00
Fractional positions:
1 In 0.000 0.000 0.000
2 In 0.000 0.500 0.248
3 In 0.500 0.000 0.752
4 In 0.500 0.500 0.500
5 Cu 0.500 0.500 0.000
6 Ag 0.000 0.000 0.500
7 Ag 0.000 0.500 0.752
8 Ag 0.500 0.000 0.248
9 Te 0.243 0.249 0.625
10 Te 0.249 0.757 0.375
11 Te 0.262 0.732 0.881
12 Te 0.268 0.262 0.119
13 Te 0.732 0.738 0.119
14 Te 0.738 0.268 0.881
15 Te 0.751 0.243 0.375
16 Te 0.757 0.751 0.625



No. 2
Computed, not measured: crystalline MgCu4Ag2P2S8 at its relaxed geometry at the GGA-PBE level of DFT.

Computed properties:
* total DFT energy (no corrections): -4.232 eV per atom
* crystal system: monoclinic

abc: 6.144 7.428 7.396
angles: 90.00 90.55 90.00
Fractional positions:
1 Mg 0.000 0.000 0.000
2 Cu 0.371 0.260 0.877
3 Cu 0.371 0.740 0.877
4 Cu 0.935 0.259 0.325
5 Cu 0.935 0.741 0.325
6 Ag 0.346 0.500 0.417
7 Ag 0.890 0.000 0.594
8 P 0.385 0.000 0.342
9 P 0.867 0.500 0.734
10 S 0.208 0.500 0.743
11 S 0.246 0.000 0.753
12 S 0.266 0.232 0.191
13 S 0.266 0.768 0.191
14 S 0.736 0.000 0.271
15 S 0.739 0.272 0.854
16 S 0.739 0.728 0.854
17 S 0.773 0.500 0.454



No. 3
Computed, not measured: crystalline MgCu4Ag2P2S8 at its relaxed geometry at the GGA-PBE level of DFT.

Computed properties:
* total DFT energy (no corrections): -4.180 eV per atom
* crystal system: monoclinic

abc: 6.415 8.041 6.562
angles: 90.00 94.57 90.00
Fractional positions:
1 Mg 0.000 0.000 0.000
2 Cu 0.336 0.250 0.261
3 Cu 0.336 0.750 0.261
4 Cu 0.861 0.328 0.998
5 Cu 0.861 0.672 0.998
6 Ag 0.345 0.000 0.747
7 Ag 0.894 0.500 0.401
8 P 0.392 0.500 0.752
9 P 0.826 0.000 0.413
10 S 0.151 0.000 0.383
11 S 0.191 0.253 0.934
12 S 0.191 0.747 0.934
13 S 0.293 0.500 0.434
14 S 0.696 0.213 0.254
15 S 0.696 0.787 0.254
16 S 0.725 0.000 0.699
17 S 0.727 0.500 0.747



No. 4
Computed, not measured: crystalline NdCuAg at its relaxed geometry at the GGA-PBE level of DFT.

Computed properties:
* total DFT energy (no corrections): -4.131 eV per atom
* crystal system: monoclinic

abc: 5.646 5.646 7.186
angles: 125.87 125.87 47.00
Fractional positions:
1 Nd 0.047 0.047 0.297
2 Nd 0.953 0.953 0.703
3 Cu 0.351 0.351 0.313
4 Cu 0.649 0.649 0.687
5 Ag 0.325 0.325 0.887
6 Ag 0.675 0.675 0.113



No. 5
Computed, not measured: crystalline CuAgO2 at its relaxed geometry at the GGA-PBE level of DFT.

Computed properties:
* total DFT energy (no corrections): -4.571 eV per atom
* crystal system: monoclinic

abc: 3.578 3.578 6.027
angles: 111.21 111.21 46.61
Fractional positions:
1 Cu 0.000 0.000 0.000
2 Ag 0.500 0.500 0.500
3 O 0.375 0.375 0.784
4 O 0.625 0.625 0.216



No. 6
Computed, not measured: crystalline CuAgO2 at its relaxed geometry at the GGA-PBE level of DFT.

Computed properties:
* total DFT energy (no corrections): -4.590 eV per atom
* crystal system: orthorhombic

abc: 2.876 3.427 5.436
angles: 90.00 90.00 90.00
Fractional positions:
1 Cu 0.000 0.000 0.000
2 Ag 0.500 0.500 0.500
3 O 0.500 0.000 0.230
4 O 0.500 0.000 0.770



No. 7
Computed, not measured: crystalline CuAgO2 at its relaxed geometry at the GGA-PBE level of DFT.

Computed properties:
* total DFT energy (no corrections): -4.421 eV per atom
* crystal system: triclinic

abc: 2.932 3.910 4.486
angles: 73.89 71.42 71.78
Fractional positions:
1 Cu 0.000 0.000 0.000
2 Ag 0.500 0.500 0.500
3 O 0.331 0.163 0.216
4 O 0.669 0.837 0.784



No. 8
Computed, not measured: crystalline Cu3Ag2P2O9 at its relaxed geometry at the GGA-PBE level of DFT.

Computed properties:
* total DFT energy (no corrections): -5.795 eV per atom
* crystal system: monoclinic

abc: 8.548 11.617 16.535
angles: 90.00 90.15 90.00
Fractional positions:
1 Cu 0.001 0.054 0.248
2 Cu 0.001 0.446 0.748
3 Cu 0.002 0.156 0.076
4 Cu 0.002 0.344 0.576
5 Cu 0.007 0.700 0.746
6 Cu 0.007 0.800 0.246
7 Cu 0.024 0.670 0.074
8 Cu 0.024 0.830 0.574
9 Cu 0.288 0.158 0.343
10 Cu 0.288 0.342 0.843
11 Cu 0.304 0.685 0.334
12 Cu 0.304 0.815 0.834
13 Cu 0.696 0.185 0.166
14 Cu 0.696 0.315 0.666
15 Cu 0.712 0.658 0.157
16 Cu 0.712 0.842 0.657
17 Cu 0.976 0.170 0.426
18 Cu 0.976 0.330 0.926
19 Cu 0.993 0.200 0.754
20 Cu 0.993 0.300 0.254
21 Cu 0.998 0.656 0.424
22 Cu 0.998 0.844 0.924
23 Cu 0.999 0.554 0.252
24 Cu 0.999 0.946 0.752
25 Ag 0.246 0.097 0.574
26 Ag 0.246 0.403 0.074
27 Ag 0.253 0.586 0.573
28 Ag 0.253 0.914 0.073
29 Ag 0.492 0.247 0.997
30 Ag 0.492 0.253 0.497
31 Ag 0.500 0.091 0.768
32 Ag 0.500 0.409 0.268
33 Ag 0.500 0.591 0.732
34 Ag 0.500 0.909 0.232
35 Ag 0.508 0.747 0.503
36 Ag 0.508 0.753 0.003
37 Ag 0.747 0.086 0.927
38 Ag 0.747 0.414 0.427
39 Ag 0.754 0.597 0.926
40 Ag 0.754 0.903 0.426
41 P 0.158 0.086 0.906
42 P 0.158 0.414 0.406
43 P 0.168 0.585 0.898
44 P 0.168 0.915 0.398
45 P 0.334 0.159 0.162
46 P 0.334 0.341 0.662
47 P 0.342 0.649 0.159
48 P 0.342 0.851 0.659
49 P 0.658 0.149 0.341
50 P 0.658 0.351 0.841
51 P 0.666 0.659 0.338
52 P 0.666 0.841 0.838
53 P 0.832 0.085 0.602
54 P 0.832 0.415 0.102
55 P 0.842 0.586 0.594
56 P 0.842 0.914 0.094
57 O 0.046 0.165 0.958
58 O 0.046 0.335 0.458
59 O 0.058 0.647 0.959
60 O 0.058 0.853 0.459
61 O 0.067 0.178 0.320
62 O 0.067 0.322 0.820
63 O 0.067 0.574 0.817
64 O 0.067 0.926 0.317
65 O 0.071 0.073 0.821
66 O 0.071 0.427 0.321
67 O 0.078 0.682 0.317
68 O 0.078 0.818 0.817
69 O 0.166 0.537 0.444
70 O 0.166 0.963 0.944
71 O 0.208 0.039 0.426
72 O 0.208 0.461 0.926
73 O 0.217 0.218 0.102
74 O 0.217 0.282 0.602
75 O 0.218 0.587 0.104
76 O 0.218 0.913 0.604
77 O 0.273 0.039 0.184
78 O 0.273 0.461 0.684
79 O 0.292 0.725 0.673
80 O 0.292 0.775 0.173
81 O 0.315 0.658 0.882
82 O 0.315 0.842 0.382
83 O 0.317 0.142 0.896
84 O 0.317 0.358 0.396
85 O 0.351 0.582 0.241
86 O 0.351 0.918 0.741
87 O 0.353 0.234 0.240
88 O 0.353 0.266 0.740
89 O 0.493 0.153 0.115
90 O 0.493 0.347 0.615
91 O 0.499 0.138 0.387
92 O 0.499 0.362 0.887
93 O 0.501 0.638 0.113
94 O 0.501 0.862 0.613
95 O 0.507 0.653 0.385
96 O 0.507 0.847 0.885
97 O 0.647 0.734 0.260
98 O 0.647 0.766 0.760
99 O 0.649 0.082 0.259
100 O 0.649 0.418 0.759
101 O 0.683 0.642 0.604
102 O 0.683 0.858 0.104
103 O 0.685 0.158 0.618
104 O 0.685 0.342 0.118
105 O 0.708 0.225 0.827
106 O 0.708 0.275 0.327
107 O 0.727 0.539 0.316
108 O 0.727 0.961 0.816
109 O 0.782 0.087 0.396
110 O 0.782 0.413 0.896
111 O 0.783 0.718 0.398
112 O 0.783 0.782 0.898
113 O 0.792 0.539 0.074
114 O 0.792 0.961 0.574
115 O 0.834 0.037 0.056
116 O 0.834 0.463 0.556
117 O 0.922 0.182 0.183
118 O 0.922 0.318 0.683
119 O 0.929 0.573 0.679
120 O 0.929 0.927 0.179
121 O 0.933 0.074 0.683
122 O 0.933 0.426 0.183
123 O 0.933 0.678 0.180
124 O 0.933 0.822 0.680
125 O 0.942 0.147 0.541
126 O 0.942 0.353 0.041
127 O 0.954 0.665 0.542
128 O 0.954 0.835 0.042



Among the records above, which one has the lowest total DFT energy (no corrections)? Cu3Ag2P2O9



Which of these has the highest total DFT energy (no corrections)? In4CuAg3Te8